[1]
48
Lattice="-4.984 7.276 4.277 4.984 -7.276 4.277 4.984 7.276 -4.277" Properties=species:S:1:pos:R:3 comment="V3CoO8 (PBE+U, relaxed)" ef_mev_per_atom=-2211 magnetic_moment_mub_per_cell=16.000 de_polymorph_ev_per_atom=0.000 pbc="T T T"
V 8.287 0.320 0.002
V 6.593 -2.218 1.645
V 0.563 2.928 0.000
V 5.547 4.348 0.000
V 3.376 2.218 1.645
V 3.302 6.957 0.002
V 1.682 0.320 4.279
V -1.608 5.058 1.645
V -0.563 2.928 4.277
V 4.422 4.348 4.277
V 1.608 9.495 1.645
V -3.302 6.957 4.279
Co 3.278 -2.289 2.651
Co 6.690 2.289 2.651
Co 1.706 4.987 2.651
Co -1.706 9.566 2.651
O 6.454 -3.872 2.868
O 0.168 1.153 -0.039
O 2.207 -1.139 1.354
O 2.750 1.195 0.070
O 6.454 3.872 -1.409
O 5.084 -1.649 2.108
O 7.761 1.139 1.354
O 4.120 3.389 0.072
O 2.698 6.130 -1.360
O 4.120 -3.389 4.349
O 4.885 1.649 2.108
O 1.511 3.313 1.393
O 5.152 6.123 -0.039
O 2.286 1.146 2.917
O 2.750 -1.195 4.347
O 6.496 3.963 1.393
O -1.470 3.405 2.868
O -0.168 1.153 4.239
O 2.777 6.138 1.354
O 2.235 8.472 0.070
O 3.514 3.872 2.868
O -0.099 5.628 2.108
O 2.207 1.139 5.631
O 0.865 10.666 0.072
O -2.698 6.130 2.917
O 0.865 3.887 4.349
O 0.099 8.925 2.108
O -1.511 3.313 5.670
O 4.817 6.123 4.239
O 2.698 8.423 2.917
O 2.235 6.081 4.347
O -1.511 11.240 1.393


[2]
20
Lattice="5.752 0.000 0.000 -0.368 5.801 0.000 -2.690 -2.900 7.555" Properties=species:S:1:pos:R:3 comment="Sr4LiMn2Ga2O11 (PBE+U, relaxed)" ef_mev_per_atom=-2487 magnetic_moment_mub_per_cell=7.001 de_polymorph_ev_per_atom=0.000 pbc="T T T"
Sr 0.000 0.000 0.000
Sr -0.191 0.278 3.576
Sr -0.498 0.545 7.543
Sr 2.402 3.162 3.569
Li 1.292 -1.168 7.338
Mn -0.452 3.141 1.816
Mn 2.659 0.306 1.816
Ga -0.602 3.338 5.489
Ga 2.796 0.118 5.490
O -1.602 -1.179 5.512
O -1.773 1.728 5.669
O -0.168 2.827 3.700
O 1.020 1.798 1.497
O 0.922 4.624 1.773
O 0.262 -2.776 7.387
O 1.269 -1.164 5.461
O 2.379 0.615 3.696
O 3.977 1.734 1.690
O 3.873 4.552 2.042
O 2.291 0.446 7.368


[3]
48
Lattice="0.220 -0.001 5.176 8.665 0.001 0.158 0.002 13.221 -0.001" Properties=species:S:1:pos:R:3 comment="Li2FeAsCO7 (PBE+U, relaxed)" ef_mev_per_atom=-1954 magnetic_moment_mub_per_cell=0.001 pbc="T T T"
Fe 3.142 11.568 4.129
O 7.698 8.263 0.310
O 2.917 6.917 4.339
O 2.918 9.608 4.342
O 3.452 11.569 0.921
O 2.917 2.998 4.343
Li 1.829 3.394 1.100
O 8.038 4.958 3.816
As 3.817 8.263 3.807
Fe 5.745 8.263 1.203
O 4.904 11.568 3.244
O 5.969 6.304 0.993
Li 7.057 6.699 4.232
Li 7.056 3.217 4.233
O 7.396 8.264 2.503
O 5.434 1.652 4.411
Li 7.056 0.089 4.233
Li 1.830 10.004 1.099
O 2.916 0.307 4.340
O 5.435 8.262 4.410
O 7.395 1.653 2.504
O 3.982 1.653 2.088
C 8.257 8.264 1.503
As 5.070 11.568 1.524
O 3.451 4.959 0.922
O 5.970 12.915 0.992
O 1.491 11.568 2.828
O 1.189 4.958 5.022
Li 1.830 13.132 1.099
Li 7.057 9.828 4.232
O 7.697 1.653 0.311
O 0.848 8.263 1.516
C 0.630 11.568 3.828
C 0.629 4.957 3.829
O 1.189 11.568 5.021
Fe 5.744 1.653 1.203
O 1.490 4.958 2.829
C 8.256 1.654 1.504
Fe 3.141 4.958 4.129
O 3.983 8.263 2.087
O 4.903 4.958 3.245
O 5.969 3.613 0.990
As 3.816 1.653 3.808
Li 1.829 6.522 1.100
O 0.847 1.653 1.517
O 8.039 11.569 3.816
As 5.070 4.958 1.525
O 5.969 10.223 0.990


[4]
18
Lattice="4.780 0.000 0.000 0.000 4.668 0.000 -0.091 0.000 9.824" Properties=species:S:1:pos:R:3 comment="Mn3O2F4 (PBE+U, relaxed)" ef_mev_per_atom=-2525 magnetic_moment_mub_per_cell=26.002 de_polymorph_ev_per_atom=0.016 pbc="T T T"
Mn 0.988 4.667 0.743
Mn 0.964 0.000 4.172
Mn 1.149 4.508 7.372
Mn 3.540 2.173 2.452
Mn 3.725 2.334 5.652
Mn 3.701 2.333 9.081
O 0.171 3.758 9.091
O 0.231 3.752 5.688
O 4.458 1.418 4.136
O 4.518 1.424 0.733
F 0.069 3.784 2.445
F 1.874 0.846 2.424
F 2.234 0.987 5.777
F 2.223 1.008 8.979
F 2.466 3.342 0.845
F 2.455 3.321 4.048
F 2.815 3.180 7.400
F 4.620 1.449 7.379


[5]
42
Lattice="5.891 0.000 0.000 0.916 7.210 0.000 0.896 3.013 11.991" Properties=species:S:1:pos:R:3 comment="CrH10SO9 (PBE+U, relaxed)" ef_mev_per_atom=-1227 magnetic_moment_mub_per_cell=1.979 de_polymorph_ev_per_atom=0.246 pbc="T T T"
Cr 0.000 0.000 0.000
Cr 0.906 5.111 5.995
H 1.369 4.738 8.492
H 2.178 7.135 5.877
H 2.248 3.793 7.613
H 3.008 8.071 11.564
H 2.644 5.310 1.078
H 2.497 2.038 5.513
H 2.295 1.112 3.195
H 2.951 3.311 4.786
H 3.690 6.262 9.883
H 3.593 4.736 9.476
H 4.109 5.487 2.515
H 4.013 3.961 2.108
H 4.751 6.911 7.205
H 5.407 9.111 8.796
H 5.205 8.184 6.478
H 5.059 4.913 10.913
H 4.695 2.152 0.427
H 5.454 6.429 4.378
H 5.524 3.088 6.114
H 6.334 5.484 3.499
S 3.317 9.242 9.249
S 4.385 0.980 2.742
O 1.237 6.991 6.143
O 1.792 3.077 10.192
O 1.988 4.737 7.729
O 1.851 5.482 0.433
O 2.312 4.873 5.067
O 3.143 7.889 9.851
O 3.678 7.810 2.490
O 3.167 2.336 4.866
O 3.831 5.335 10.203
O 3.871 4.887 1.788
O 4.535 7.887 7.125
O 4.025 2.413 9.501
O 4.559 2.334 2.140
O 5.390 5.350 6.924
O 5.851 4.741 11.558
O 5.715 5.486 4.262
O 5.911 7.145 1.799
O 6.465 3.231 5.848


[6]
14
Lattice="5.749 0.000 0.000 -2.874 4.979 0.000 0.000 0.000 7.304" Properties=species:S:1:pos:R:3 comment="BaZnMo4O8 (PBE+U, relaxed)" ef_mev_per_atom=-1523 magnetic_moment_mub_per_cell=11.999 pbc="T T T"
Ba 0.000 0.000 0.000
Zn 0.000 0.000 3.652
Mo 0.000 3.319 2.058
Mo 0.000 3.319 5.247
Mo 2.874 1.660 2.058
Mo 2.874 1.660 5.247
O -0.843 1.461 2.324
O -2.031 3.518 4.981
O 1.687 0.000 2.324
O 0.843 1.461 4.981
O 0.000 3.319 0.000
O 2.874 1.660 0.000
O 4.062 0.000 4.981
O 2.031 3.518 2.324


[7]
10
Lattice="-2.697 2.697 4.111 2.697 -2.697 4.111 2.697 2.697 -4.111" Properties=species:S:1:pos:R:3 comment="SrLaMn2O6 (PBE+U, relaxed)" ef_mev_per_atom=-2722 magnetic_moment_mub_per_cell=1.000 de_polymorph_ev_per_atom=0.042 pbc="T T T"
Sr 0.000 0.000 0.000
La 0.000 0.000 4.111
Mn 2.697 0.000 2.056
Mn 0.000 2.697 2.056
O 1.614 1.604 -1.998
O 1.083 1.093 2.114
O 0.000 2.697 0.135
O 1.093 -1.083 6.109
O 1.604 3.780 1.998
O 0.000 2.697 3.976


[8]
14
Lattice="3.056 -4.750 0.000 3.056 4.750 0.000 0.000 0.000 7.111" Properties=species:S:1:pos:R:3 comment="NaCaVO4 (PBE+U, relaxed)" ef_mev_per_atom=-2697 magnetic_moment_mub_per_cell=0.001 de_polymorph_ev_per_atom=0.075 pbc="T T T"
Na 0.000 0.000 0.000
Na 0.000 0.000 3.556
Ca 3.056 1.641 5.333
Ca 3.056 -1.641 1.778
V 3.056 1.401 1.778
V 3.056 -1.401 5.333
O 1.692 0.306 1.778
O 3.056 2.405 0.362
O 3.056 2.405 3.194
O 1.692 -0.306 5.333
O 4.421 0.306 1.778
O 3.056 -2.405 3.917
O 3.056 -2.405 6.749
O 4.421 -0.306 5.333


[9]
13
Lattice="3.249 1.876 4.885 -3.249 1.876 4.885 0.000 -3.751 4.885" Properties=species:S:1:pos:R:3 comment="MgW4O8 (PBE+U, relaxed)" ef_mev_per_atom=-1727 magnetic_moment_mub_per_cell=10.000 de_polymorph_ev_per_atom=0.085 pbc="T T T"
Mg 0.000 0.000 0.000
W -3.249 0.000 7.327
W -1.624 0.938 2.442
W 1.624 0.938 2.442
W 0.000 0.000 7.327
O -1.706 -0.985 8.413
O 0.000 0.000 3.429
O 0.000 -1.969 6.240
O -1.706 0.985 6.240
O 1.706 -0.985 8.413
O 0.000 1.969 8.413
O 0.000 0.000 11.225
O 1.706 0.985 6.240


[10]
16
Lattice="5.667 0.000 0.000 2.589 6.627 0.000 0.573 2.577 6.724" Properties=species:S:1:pos:R:3 comment="NaV2Bi3O10 (PBE+U, relaxed)" ef_mev_per_atom=-2080 magnetic_moment_mub_per_cell=0.000 de_polymorph_ev_per_atom=0.007 pbc="T T T"
Na 0.000 0.000 0.000
V 2.948 2.628 0.631
V 6.232 5.343 2.714
Bi 0.960 1.384 3.362
Bi 3.791 3.480 4.253
Bi 6.036 6.949 5.923
O 2.089 5.832 3.292
O 1.326 2.354 0.168
O 2.207 2.042 5.060
O 3.426 4.290 0.389
O 3.095 2.209 2.358
O 4.996 6.138 3.705
O 4.594 4.286 6.307
O 6.090 5.628 0.995
O 7.552 8.357 4.853
O 5.953 3.633 3.097


[11]
72
Lattice="13.041 0.000 0.000 0.000 8.120 0.000 0.000 0.000 9.520" Properties=species:S:1:pos:R:3 comment="LiFeP4O12 (PBE+U, relaxed)" ef_mev_per_atom=-2464 magnetic_moment_mub_per_cell=20.000 de_polymorph_ev_per_atom=0.086 pbc="T T T"
Li 0.000 0.641 2.380
Li 0.000 7.479 7.140
Li 6.520 3.419 7.140
Li 6.520 4.701 2.380
Fe 0.000 3.904 2.380
Fe 0.000 4.216 7.140
Fe 6.520 0.156 7.140
Fe 6.520 7.964 2.380
P 1.787 2.676 4.798
P 1.787 5.444 0.038
P 1.911 0.382 9.516
P 1.911 7.738 4.756
P 4.609 3.678 4.756
P 4.609 4.443 9.516
P 4.733 1.384 0.038
P 4.733 6.737 4.798
P 8.307 1.384 4.722
P 8.307 6.737 9.482
P 8.431 3.678 0.004
P 8.431 4.443 4.764
P 11.130 0.382 4.764
P 11.130 7.738 0.004
P 11.254 2.676 9.482
P 11.254 5.444 4.722
O 0.774 2.746 3.657
O 0.774 5.374 8.416
O 1.016 0.487 8.343
O 1.016 7.633 3.583
O 1.294 3.331 6.087
O 1.294 4.789 1.327
O 1.697 1.133 1.257
O 1.697 6.987 6.017
O 2.169 1.213 5.142
O 2.169 6.907 0.382
O 3.061 3.394 4.226
O 3.061 4.726 8.986
O 3.459 0.666 8.986
O 3.459 7.454 4.226
O 4.352 2.847 0.382
O 4.352 5.273 5.142
O 4.824 2.927 6.017
O 4.824 5.193 1.257
O 5.226 0.729 1.327
O 5.226 7.391 6.087
O 5.504 3.573 3.583
O 5.504 4.547 8.343
O 5.746 1.314 8.416
O 5.746 6.806 3.657
O 7.295 1.314 5.863
O 7.295 6.806 1.103
O 7.537 3.573 1.177
O 7.537 4.547 5.937
O 7.814 0.729 3.432
O 7.814 7.391 8.192
O 8.217 2.927 8.262
O 8.217 5.193 3.502
O 8.689 2.847 4.378
O 8.689 5.273 9.138
O 9.582 0.666 5.294
O 9.582 7.454 0.534
O 9.980 3.394 0.534
O 9.980 4.726 5.294
O 10.872 1.213 9.138
O 10.872 6.907 4.378
O 11.344 1.133 3.502
O 11.344 6.987 8.262
O 11.747 3.331 8.192
O 11.747 4.789 3.432
O 12.024 0.487 5.937
O 12.024 7.633 1.177
O 12.267 2.746 1.103
O 12.267 5.374 5.863


[12]
14
Lattice="4.114 -2.728 0.000 4.114 2.728 0.000 -0.056 0.000 6.273" Properties=species:S:1:pos:R:3 comment="Li3FeP2O8 (PBE+U, relaxed)" ef_mev_per_atom=-2547 magnetic_moment_mub_per_cell=4.999 de_polymorph_ev_per_atom=0.015 pbc="T T T"
Li 0.000 0.000 0.000
Li 2.643 0.000 4.839
Li 5.528 0.000 1.434
Fe -0.028 0.000 3.137
P 2.864 0.000 1.645
P 5.307 0.000 4.629
O 3.825 1.252 1.687
O 1.961 0.000 2.915
O 2.021 0.000 0.388
O 4.347 1.252 4.586
O 3.825 -1.252 1.687
O 6.151 0.000 5.885
O 6.211 0.000 3.358
O 4.347 -1.252 4.586